# Ba3CaI8 (PBE, optimized geometry)
data_Ba3CaI8
_chemical_formula_sum 'Ba3 Ca1 I8'
_cell_length_a 10.0818
_cell_length_b 10.0818
_cell_length_c 10.0818
_cell_angle_alpha 131.78
_cell_angle_beta 131.78
_cell_angle_gamma 70.58
_symmetry_space_group_name_H-M 'P 1'
_symmetry_Int_Tables_number 1
loop_
_symmetry_equiv_pos_as_xyz
'x,y,z'
loop_
_atom_site_label
_atom_site_type_symbol
_atom_site_fract_x
_atom_site_fract_y
_atom_site_fract_z
_atom_site_occupancy
I1 I 0.3627 0.3627 0.4832 1
I2 I 0.1206 0.1206 0.4832 1
I3 I 0.3627 0.8794 0.0000 1
I4 I 0.6373 0.1206 0.0000 1
I5 I 0.8794 0.3627 0.0000 1
I6 I 0.6373 0.6373 0.5168 1
I7 I 0.8794 0.8794 0.5168 1
I8 I 0.1206 0.6373 0.0000 1
Ba1 Ba 0.2500 0.7500 0.5000 1
Ba2 Ba 0.5000 0.5000 0.0000 1
Ba3 Ba 0.7500 0.2500 0.5000 1
Ca1 Ca 0.0000 0.0000 0.0000 1
# - Formation energy: -1.9653 eV/atom
# - Total magnetic moment: 0.0 μB per formula unit

***

# Ba5Fe9S18 (PBE, optimized geometry)
data_Ba5Fe9S18
_chemical_formula_sum 'Ba20 Fe36 S72'
_cell_length_a 7.8720
_cell_length_b 7.8720
_cell_length_c 48.3159
_cell_angle_alpha 90.00
_cell_angle_beta 90.00
_cell_angle_gamma 90.00
_symmetry_space_group_name_H-M 'P 1'
_symmetry_Int_Tables_number 1
loop_
_symmetry_equiv_pos_as_xyz
'x,y,z'
loop_
_atom_site_label
_atom_site_type_symbol
_atom_site_fract_x
_atom_site_fract_y
_atom_site_fract_z
_atom_site_occupancy
Ba1 Ba 0.2500 0.2500 0.6265 1
Ba2 Ba 0.7500 0.7500 0.2737 1
Ba3 Ba 0.2500 0.2500 0.1265 1
Ba4 Ba 0.7500 0.7500 0.0687 1
Ba5 Ba 0.2500 0.2500 0.5323 1
Ba6 Ba 0.7500 0.7500 0.9677 1
Ba7 Ba 0.2500 0.2500 0.9313 1
Ba8 Ba 0.7500 0.7500 0.8735 1
Ba9 Ba 0.2500 0.2500 0.4313 1
Ba10 Ba 0.2500 0.2500 0.8279 1
Ba11 Ba 0.7500 0.7500 0.3735 1
Ba12 Ba 0.7500 0.7500 0.4677 1
Ba13 Ba 0.2500 0.2500 0.7263 1
Ba14 Ba 0.7500 0.7500 0.7737 1
Ba15 Ba 0.7500 0.7500 0.5687 1
Ba16 Ba 0.2500 0.2500 0.3279 1
Ba17 Ba 0.7500 0.7500 0.1721 1
Ba18 Ba 0.2500 0.2500 0.2263 1
Ba19 Ba 0.7500 0.7500 0.6721 1
Ba20 Ba 0.2500 0.2500 0.0323 1
Fe1 Fe 0.7500 0.2500 0.5000 1
Fe2 Fe 0.7500 0.2500 0.2199 1
Fe3 Fe 0.7500 0.2500 0.8913 1
Fe4 Fe 0.2500 0.7500 0.7801 1
Fe5 Fe 0.2500 0.7500 0.0547 1
Fe6 Fe 0.7500 0.2500 0.3363 1
Fe7 Fe 0.7500 0.2500 0.9453 1
Fe8 Fe 0.2500 0.7500 0.3363 1
Fe9 Fe 0.2500 0.7500 0.9453 1
Fe10 Fe 0.7500 0.2500 0.7801 1
Fe11 Fe 0.2500 0.7500 0.5547 1
Fe12 Fe 0.2500 0.7500 0.6087 1
Fe13 Fe 0.2500 0.7500 0.8363 1
Fe14 Fe 0.2500 0.7500 0.5000 1
Fe15 Fe 0.2500 0.7500 0.3913 1
Fe16 Fe 0.7500 0.2500 0.1087 1
Fe17 Fe 0.7500 0.2500 0.6087 1
Fe18 Fe 0.7500 0.2500 0.5547 1
Fe19 Fe 0.7500 0.2500 0.2801 1
Fe20 Fe 0.2500 0.7500 0.4453 1
Fe21 Fe 0.2500 0.7500 0.1637 1
Fe22 Fe 0.7500 0.2500 0.0547 1
Fe23 Fe 0.7500 0.2500 0.0000 1
Fe24 Fe 0.7500 0.2500 0.4453 1
Fe25 Fe 0.2500 0.7500 0.2801 1
Fe26 Fe 0.2500 0.7500 0.7199 1
Fe27 Fe 0.2500 0.7500 0.1087 1
Fe28 Fe 0.7500 0.2500 0.8363 1
Fe29 Fe 0.2500 0.7500 0.8913 1
Fe30 Fe 0.2500 0.7500 0.2199 1
Fe31 Fe 0.7500 0.2500 0.1637 1
Fe32 Fe 0.7500 0.2500 0.6637 1
Fe33 Fe 0.7500 0.2500 0.7199 1
Fe34 Fe 0.2500 0.7500 0.6637 1
Fe35 Fe 0.2500 0.7500 0.0000 1
Fe36 Fe 0.7500 0.2500 0.3913 1
S1 S 0.3924 0.9205 0.6919 1
S2 S 0.9033 0.0967 0.2500 1
S3 S 0.9375 0.3656 0.0821 1
S4 S 0.3656 0.9375 0.5821 1
S5 S 0.1076 0.5795 0.6919 1
S6 S 0.9274 0.1227 0.3644 1
S7 S 0.6228 0.0633 0.5272 1
S8 S 0.4205 0.6076 0.3081 1
S9 S 0.6227 0.0726 0.6356 1
S10 S 0.4033 0.9033 0.2500 1
S11 S 0.8773 0.0726 0.1356 1
S12 S 0.4367 0.8772 0.0272 1
S13 S 0.6227 0.4274 0.1356 1
S14 S 0.1344 0.9375 0.0821 1
S15 S 0.3772 0.9367 0.4728 1
S16 S 0.9367 0.1228 0.4728 1
S17 S 0.5633 0.1228 0.9728 1
S18 S 0.6076 0.0795 0.3081 1
S19 S 0.5625 0.3656 0.5821 1
S20 S 0.5625 0.1344 0.0821 1
S21 S 0.0625 0.6344 0.9179 1
S22 S 0.1344 0.5625 0.5821 1
S23 S 0.4274 0.8773 0.1356 1
S24 S 0.9274 0.3773 0.8644 1
S25 S 0.1228 0.5633 0.4728 1
S26 S 0.1227 0.5726 0.3644 1
S27 S 0.6076 0.4205 0.8081 1
S28 S 0.4033 0.5967 0.7500 1
S29 S 0.9205 0.3924 0.1919 1
S30 S 0.0726 0.8773 0.6356 1
S31 S 0.1076 0.9205 0.1919 1
S32 S 0.8773 0.4274 0.6356 1
S33 S 0.8772 0.4367 0.5272 1
S34 S 0.6228 0.4367 0.0272 1
S35 S 0.5967 0.4033 0.2500 1
S36 S 0.4375 0.8656 0.9179 1
S37 S 0.4205 0.8924 0.8081 1
S38 S 0.3772 0.5633 0.9728 1
S39 S 0.8924 0.4205 0.3081 1
S40 S 0.6344 0.4375 0.9179 1
S41 S 0.5726 0.1227 0.8644 1
S42 S 0.1227 0.9274 0.8644 1
S43 S 0.5795 0.3924 0.6919 1
S44 S 0.1228 0.9367 0.9728 1
S45 S 0.0625 0.8656 0.4179 1
S46 S 0.0633 0.6228 0.0272 1
S47 S 0.8772 0.0633 0.0272 1
S48 S 0.5726 0.3773 0.3644 1
S49 S 0.8656 0.0625 0.9179 1
S50 S 0.3656 0.5625 0.0821 1
S51 S 0.0967 0.5967 0.2500 1
S52 S 0.4367 0.6228 0.5272 1
S53 S 0.4274 0.6227 0.6356 1
S54 S 0.0726 0.6227 0.1356 1
S55 S 0.0967 0.9033 0.7500 1
S56 S 0.0795 0.8924 0.3081 1
S57 S 0.9205 0.1076 0.6919 1
S58 S 0.4375 0.6344 0.4179 1
S59 S 0.5795 0.1076 0.1919 1
S60 S 0.5633 0.3772 0.4728 1
S61 S 0.3773 0.5726 0.8644 1
S62 S 0.0795 0.6076 0.8081 1
S63 S 0.6344 0.0625 0.4179 1
S64 S 0.9033 0.4033 0.7500 1
S65 S 0.3924 0.5795 0.1919 1
S66 S 0.0633 0.8772 0.5272 1
S67 S 0.9367 0.3772 0.9728 1
S68 S 0.5967 0.0967 0.7500 1
S69 S 0.8924 0.0795 0.8081 1
S70 S 0.8656 0.4375 0.4179 1
S71 S 0.3773 0.9274 0.3644 1
S72 S 0.9375 0.1344 0.5821 1
# - Formation energy: -1.2108 eV/atom
# - Total magnetic moment: 3.1 μB per formula unit

***

# TiBe2 (PBE, optimized geometry)
data_TiBe2
_chemical_formula_sum 'Ti2 Be4'
_cell_length_a 4.5464
_cell_length_b 4.5464
_cell_length_c 4.5464
_cell_angle_alpha 60.00
_cell_angle_beta 60.00
_cell_angle_gamma 60.00
_symmetry_space_group_name_H-M 'P 1'
_symmetry_Int_Tables_number 1
loop_
_symmetry_equiv_pos_as_xyz
'x,y,z'
loop_
_atom_site_label
_atom_site_type_symbol
_atom_site_fract_x
_atom_site_fract_y
_atom_site_fract_z
_atom_site_occupancy
Be1 Be 0.6250 0.6250 0.1250 1
Be2 Be 0.6250 0.1250 0.6250 1
Be3 Be 0.6250 0.6250 0.6250 1
Be4 Be 0.1250 0.6250 0.6250 1
Ti1 Ti 0.0000 0.0000 0.0000 1
Ti2 Ti 0.2500 0.2500 0.2500 1
# - Formation energy: -0.1938 eV/atom

***

# CsGaTe2 (PBE, optimized geometry)
data_CsGaTe2
_chemical_formula_sum 'Cs8 Ga8 Te16'
_cell_length_a 8.5767
_cell_length_b 8.5767
_cell_length_c 18.3180
_cell_angle_alpha 83.29
_cell_angle_beta 83.29
_cell_angle_gamma 89.98
_symmetry_space_group_name_H-M 'P 1'
_symmetry_Int_Tables_number 1
loop_
_symmetry_equiv_pos_as_xyz
'x,y,z'
loop_
_atom_site_label
_atom_site_type_symbol
_atom_site_fract_x
_atom_site_fract_y
_atom_site_fract_z
_atom_site_occupancy
Te1 Te 0.1461 0.2703 0.9175 1
Te2 Te 0.0524 0.9476 0.2500 1
Te3 Te 0.0525 0.4275 0.2496 1
Te4 Te 0.7297 0.8539 0.5825 1
Te5 Te 0.7300 0.3556 0.5804 1
Te6 Te 0.2700 0.6444 0.4196 1
Te7 Te 0.3556 0.7300 0.0804 1
Te8 Te 0.9476 0.0524 0.7500 1
Te9 Te 0.9475 0.5725 0.7504 1
Te10 Te 0.2703 0.1461 0.4175 1
Te11 Te 0.5725 0.9475 0.2504 1
Te12 Te 0.6444 0.2700 0.9196 1
Te13 Te 0.5728 0.4272 0.2500 1
Te14 Te 0.4272 0.5728 0.7500 1
Te15 Te 0.4275 0.0525 0.7496 1
Te16 Te 0.8539 0.7297 0.0825 1
Cs1 Cs 0.6520 0.7772 0.8917 1
Cs2 Cs 0.2228 0.3480 0.6083 1
Cs3 Cs 0.1496 0.7753 0.9006 1
Cs4 Cs 0.7772 0.6520 0.3917 1
Cs5 Cs 0.2247 0.8504 0.5994 1
Cs6 Cs 0.8504 0.2247 0.0994 1
Cs7 Cs 0.3480 0.2228 0.1083 1
Cs8 Cs 0.7753 0.1496 0.4006 1
Ga1 Ga 0.2928 0.4205 0.3284 1
Ga2 Ga 0.7075 0.0851 0.6711 1
Ga3 Ga 0.9149 0.2925 0.8289 1
Ga4 Ga 0.2925 0.9149 0.3289 1
Ga5 Ga 0.7072 0.5795 0.6716 1
Ga6 Ga 0.5795 0.7072 0.1716 1
Ga7 Ga 0.4205 0.2928 0.8284 1
Ga8 Ga 0.0851 0.7075 0.1711 1
# - Formation energy: -0.9509 eV/atom

***

# SbAu3 (PBE, optimized geometry)
data_SbAu3
_chemical_formula_sum 'Sb1 Au3'
_cell_length_a 4.3147
_cell_length_b 4.3147
_cell_length_c 4.3147
_cell_angle_alpha 90.00
_cell_angle_beta 90.00
_cell_angle_gamma 90.00
_symmetry_space_group_name_H-M 'P 1'
_symmetry_Int_Tables_number 1
loop_
_symmetry_equiv_pos_as_xyz
'x,y,z'
loop_
_atom_site_label
_atom_site_type_symbol
_atom_site_fract_x
_atom_site_fract_y
_atom_site_fract_z
_atom_site_occupancy
Au1 Au 0.5000 0.5000 0.0000 1
Au2 Au 0.0000 0.5000 0.5000 1
Au3 Au 0.5000 0.0000 0.5000 1
Sb1 Sb 0.0000 0.0000 0.0000 1
# - Formation energy: 0.0517 eV/atom
# - Total magnetic moment: 0.0 μB per formula unit

***

# Th14Au51 (PBE, optimized geometry)
data_Th14Au51
_chemical_formula_sum 'Th14 Au51'
_cell_length_a 13.0180
_cell_length_b 13.0180
_cell_length_c 9.4017
_cell_angle_alpha 90.00
_cell_angle_beta 90.00
_cell_angle_gamma 120.00
_symmetry_space_group_name_H-M 'P 1'
_symmetry_Int_Tables_number 1
loop_
_symmetry_equiv_pos_as_xyz
'x,y,z'
loop_
_atom_site_label
_atom_site_type_symbol
_atom_site_fract_x
_atom_site_fract_y
_atom_site_fract_z
_atom_site_occupancy
Au1 Au 0.5637 0.6724 0.6636 1
Au2 Au 0.0000 0.0000 0.6895 1
Au3 Au 0.7697 0.9930 0.6636 1
Au4 Au 0.2233 0.2303 0.6636 1
Au5 Au 0.7834 0.8256 0.1524 1
Au6 Au 0.3276 0.8913 0.3364 1
Au7 Au 0.0000 0.0000 0.3105 1
Au8 Au 0.3333 0.6667 0.0000 1
Au9 Au 0.5297 0.3035 0.0000 1
Au10 Au 0.4750 0.4117 0.7689 1
Au11 Au 0.1623 0.7109 0.8482 1
Au12 Au 0.7697 0.9930 0.3364 1
Au13 Au 0.0070 0.7767 0.6636 1
Au14 Au 0.1744 0.9578 0.8476 1
Au15 Au 0.1087 0.4363 0.3364 1
Au16 Au 0.7245 0.1531 0.5000 1
Au17 Au 0.2233 0.2303 0.3364 1
Au18 Au 0.0070 0.7767 0.3364 1
Au19 Au 0.2891 0.4514 0.1518 1
Au20 Au 0.7407 0.5991 0.7720 1
Au21 Au 0.4871 0.0964 0.5000 1
Au22 Au 0.5883 0.0633 0.2311 1
Au23 Au 0.7739 0.4703 0.0000 1
Au24 Au 0.9367 0.5250 0.2311 1
Au25 Au 0.0422 0.2166 0.8476 1
Au26 Au 0.8469 0.5714 0.5000 1
Au27 Au 0.1087 0.4363 0.6636 1
Au28 Au 0.7834 0.8256 0.8476 1
Au29 Au 0.4009 0.1416 0.2280 1
Au30 Au 0.4286 0.2755 0.5000 1
Au31 Au 0.0422 0.2166 0.1524 1
Au32 Au 0.8584 0.2593 0.7720 1
Au33 Au 0.3276 0.8913 0.6636 1
Au34 Au 0.2891 0.4514 0.8482 1
Au35 Au 0.7407 0.5991 0.2280 1
Au36 Au 0.4009 0.1416 0.7720 1
Au37 Au 0.3333 0.6667 0.3114 1
Au38 Au 0.1744 0.9578 0.1524 1
Au39 Au 0.8584 0.2593 0.2280 1
Au40 Au 0.0000 0.0000 0.0000 1
Au41 Au 0.5486 0.8377 0.1518 1
Au42 Au 0.6965 0.2261 0.0000 1
Au43 Au 0.5637 0.6724 0.3364 1
Au44 Au 0.1623 0.7109 0.1518 1
Au45 Au 0.6093 0.5129 0.5000 1
Au46 Au 0.9367 0.5250 0.7689 1
Au47 Au 0.5883 0.0633 0.7689 1
Au48 Au 0.4750 0.4117 0.2311 1
Au49 Au 0.9036 0.3907 0.5000 1
Au50 Au 0.5486 0.8377 0.8482 1
Au51 Au 0.3333 0.6667 0.6886 1
Th1 Th 0.6667 0.3333 0.7031 1
Th2 Th 0.8105 0.7994 0.5000 1
Th3 Th 0.0537 0.4442 0.0000 1
Th4 Th 0.7805 0.0466 0.0000 1
Th5 Th 0.6667 0.3333 0.2969 1
Th6 Th 0.3438 0.4767 0.5000 1
Th7 Th 0.5558 0.6095 0.0000 1
Th8 Th 0.2006 0.0111 0.5000 1
Th9 Th 0.3905 0.9463 0.0000 1
Th10 Th 0.9534 0.7339 0.0000 1
Th11 Th 0.9889 0.1895 0.5000 1
Th12 Th 0.1328 0.6562 0.5000 1
Th13 Th 0.2661 0.2195 0.0000 1
Th14 Th 0.5233 0.8672 0.5000 1
# - Formation energy: -0.6219 eV/atom
# - Total magnetic moment: 0.0 μB per formula unit